Entry 1:
A relaxed structure of Na2Ca3Si6O16. Source: Materials Project, functional GGA-PBE.

The structure in POSCAR format:
```
Na2Ca3Si6O16
1.0
-4.9086 -1.1042 5.2957
6.3127 -3.3656 7.3899
0.0615 8.3628 6.8281
Na Ca Si O
4 6 12 32
Direct
0.1772 0.4188 0.1755
0.9176 0.8654 0.4795
0.0824 0.1346 0.5205
0.8228 0.5812 0.8245
0.8451 0.8752 0.1201
0.3515 0.8656 0.1120
0.1549 0.1248 0.8799
0.4189 0.8499 0.4846
0.5811 0.1501 0.5154
0.6485 0.1344 0.8880
0.2538 0.6013 0.3606
0.1856 0.4020 0.6269
0.3516 0.4164 0.8499
0.4501 0.1266 0.2313
0.7734 0.3128 0.0761
0.8144 0.5980 0.3731
0.6484 0.5836 0.1501
0.9813 0.8673 0.7688
0.7462 0.3987 0.6394
0.5499 0.8734 0.7687
0.0187 0.1327 0.2312
0.2266 0.6872 0.9239
0.2944 0.5014 0.4902
0.5596 0.2660 0.1752
0.7436 0.7548 0.3713
0.0656 0.0236 0.1307
0.2580 0.7579 0.3592
0.7056 0.4986 0.5098
0.1122 0.9126 0.6169
0.4404 0.7340 0.8248
0.2221 0.1822 0.2371
0.2564 0.2452 0.6287
0.5800 0.4510 0.7714
0.9344 0.9764 0.8693
0.2605 0.5218 0.9580
0.4200 0.5490 0.2286
0.0741 0.7222 0.8364
0.8878 0.0874 0.3831
0.7420 0.2421 0.6408
0.6532 0.7369 0.0820
0.4515 0.9781 0.8735
0.0512 0.5608 0.3488
0.7395 0.4782 0.0420
0.7779 0.8178 0.7629
0.8526 0.2489 0.9420
0.3468 0.2631 0.9180
0.5546 0.9330 0.6171
0.1474 0.7511 0.0580
0.7806 0.5421 0.2512
0.2194 0.4579 0.7488
0.9259 0.2778 0.1636
0.4454 0.0670 0.3829
0.9488 0.4392 0.6512
0.5485 0.0219 0.1265
```

Results
SG ... P-1
E (MP2020) ... -416.06 eV for the cell shown
DFT formation energy ... -87.65 eV/f.u.

=====

Entry 2:
A relaxed structure of CuS. Source: Materials Project, functional GGA-PBE.

The structure in POSCAR format:
```
CuS
1.0
-3.2913 0.3646 1.8701
3.1747 -0.9338 1.8740
3.1934 15.9098 2.5182
Cu S
6 6
Direct
0.6635 0.3365 0.6072
0.3365 0.6635 0.1072
0.6635 0.3365 0.8928
0.6380 0.3620 0.2500
0.3365 0.6635 0.3928
0.3620 0.6380 0.7500
0.9976 0.0024 0.5642
0.6939 0.3061 0.7500
0.0024 0.9976 0.0642
0.3061 0.6939 0.2500
0.9976 0.0024 0.9358
0.0024 0.9976 0.4358
```

Results
SG ... Cmcm
E (MP2020) ... -54.76 eV for the cell shown
DFT formation energy ... -0.89 eV/f.u.

=====

Entry 3:
A relaxed structure of CaClO. Source: Materials Project, functional GGA-PBE.

The structure in POSCAR format:
```
CaClO
1.0
-2.4690 0.9799 2.9822
3.8765 -0.6153 0.7375
1.7257 9.0294 -1.5381
Ca Cl O
2 2 2
Direct
0.3333 0.6667 0.1891
0.6667 0.3333 0.6891
0.3333 0.6667 0.4954
0.6667 0.3333 0.9954
0.0000 0.0000 0.7325
0.0000 0.0000 0.2325
```

Results
SG ... P6_3mc
E (MP2020) ... -30.19 eV for the cell shown
DFT formation energy ... -6.29 eV/f.u.

=====

Entry 4:
A relaxed structure of Sr4LiY2Ru2O12. Source: Materials Project, functional GGA-PBE.

The structure in POSCAR format:
```
Sr4LiY2Ru2O12
1.0
5.8302 0.0026 -0.1389
0.0027 5.9516 0.0399
-0.1658 0.0572 8.3275
Sr Li Y Ru O
4 1 2 2 12
Direct
0.5123 0.5467 0.2436
0.9437 0.0694 0.2907
0.0017 0.9536 0.7339
0.4825 0.4571 0.7434
0.1512 0.9158 0.0602
0.4772 0.0002 0.4969
0.0090 0.4807 0.9949
0.5293 0.0003 0.9923
0.9863 0.5053 0.5008
0.9190 0.5171 0.7326
0.5816 0.0178 0.7634
0.0623 0.4849 0.2697
0.4170 0.9751 0.2237
0.7800 0.7735 0.4622
0.7010 0.2777 0.0453
0.1842 0.2287 0.5410
0.3256 0.7072 0.9588
0.2318 0.1835 0.9490
0.2524 0.7096 0.5412
0.8258 0.8221 0.0403
0.7094 0.3006 0.4631
```

Results
SG ... P1
E (MP2020) ... -157.07 eV for the cell shown
DFT formation energy ... -57.55 eV/f.u.

=====

Entry 5:
A relaxed structure of Rb28Mg9In51. Source: Materials Project, functional GGA-PBE.

The structure in POSCAR format:
```
Rb28Mg9In51
1.0
10.3082 0.0606 0.0000
-5.1020 8.9258 0.0000
0.0000 0.0000 35.8400
Rb Mg In
28 9 51
Direct
0.0004 0.6048 0.4087
0.9998 0.6049 0.9089
0.2491 0.9975 0.3425
0.2477 0.0002 0.8426
0.0000 0.2469 0.1580
0.9968 0.2451 0.6582
0.3327 0.6661 0.9999
0.3327 0.6661 0.5001
0.6051 0.0007 0.9095
0.3955 0.3958 0.0907
0.3955 0.3958 0.4093
0.3949 0.3961 0.9096
0.3949 0.3961 0.5904
0.2491 0.9975 0.1575
0.2477 0.0002 0.6574
0.7502 0.7477 0.3426
0.7502 0.7477 0.1574
0.7497 0.7528 0.6577
0.7497 0.7528 0.8423
0.6665 0.3330 0.0001
0.6665 0.3330 0.4999
0.6052 0.0008 0.0909
0.6052 0.0008 0.4091
0.6051 0.0007 0.5905
0.0004 0.6048 0.0913
0.9998 0.6049 0.5911
0.0000 0.2469 0.3420
0.9968 0.2451 0.8418
0.2988 0.8204 0.7500
0.1798 0.4781 0.2500
0.1790 0.4716 0.7500
0.5287 0.7098 0.2500
0.4720 0.1818 0.2500
0.4816 0.1817 0.7500
0.7085 0.5308 0.7500
0.9991 0.8263 0.2500
0.8215 0.2979 0.2500
0.0000 0.5872 0.3015
0.0048 0.5931 0.8008
0.9992 0.2802 0.5447
0.9992 0.2802 0.9553
0.2978 0.8231 0.2500
0.3353 0.6678 0.1710
0.3319 0.6629 0.6701
0.9995 0.9995 0.0716
0.3353 0.6678 0.3290
0.9995 0.9995 0.4284
0.9998 0.9996 0.5717
0.3319 0.6629 0.8299
0.1703 0.1697 0.2500
0.1747 0.1705 0.7500
0.2035 0.2041 0.0000
0.2035 0.2041 0.5000
0.5164 0.6946 0.7500
0.4086 0.4134 0.3002
0.4142 0.4078 0.8011
0.4086 0.4134 0.1998
0.4142 0.4078 0.6989
0.2792 0.9984 0.0443
0.2792 0.9984 0.4557
0.2789 0.9984 0.5444
0.2789 0.9984 0.9556
0.7214 0.7207 0.0441
0.7214 0.7207 0.4559
0.7217 0.7208 0.9556
0.7217 0.7208 0.5444
0.7020 0.5246 0.2500
0.6649 0.3327 0.1711
0.6700 0.3366 0.6702
0.9998 0.9996 0.9283
0.6649 0.3327 0.3289
0.6700 0.3366 0.8298
0.0035 0.8318 0.7500
0.5916 0.0047 0.3002
0.5916 0.0047 0.1998
0.5823 0.9985 0.6981
0.5823 0.9985 0.8019
0.0011 0.7936 0.5000
0.0011 0.7936 0.0000
0.8234 0.3042 0.7500
0.0000 0.5872 0.1985
0.0048 0.5931 0.6992
0.7959 0.0013 0.9999
0.7959 0.0013 0.5001
0.8294 0.9981 0.2500
0.8214 0.9973 0.7500
0.9989 0.2802 0.0441
0.9989 0.2802 0.4559
```

Results
SG ... Pm
DFT formation energy ... -11.74 eV/f.u.

=====

Entry 6:
A relaxed structure of Rb3Nb5P2O19. Source: Materials Project, functional GGA-PBE.

The structure in POSCAR format:
```
Rb3Nb5P2O19
1.0
18.6223 -6.6079 0.0000
18.6223 6.6079 0.0000
16.2776 0.0000 11.2024
Rb Nb P O
18 30 12 114
Direct
0.6814 0.3286 0.0263
0.0774 0.7500 0.4226
0.4737 0.1714 0.8186
0.9226 0.2500 0.5774
0.1814 0.5263 0.8286
0.2500 0.5774 0.9226
0.1714 0.8186 0.4737
0.9737 0.3186 0.6714
0.3286 0.0263 0.6814
0.8186 0.4737 0.1714
0.5263 0.8286 0.1814
0.0263 0.6814 0.3286
0.8286 0.1814 0.5263
0.5774 0.9226 0.2500
0.6714 0.9737 0.3186
0.4226 0.0774 0.7500
0.3186 0.6714 0.9737
0.7500 0.4226 0.0774
0.2673 0.1327 0.4549
0.2759 0.4662 0.5949
0.4662 0.5949 0.2759
0.0338 0.2241 0.9051
0.5949 0.2759 0.4662
0.5338 0.4051 0.7241
0.7241 0.5338 0.4051
0.2241 0.9051 0.0338
0.7759 0.0949 0.9662
0.4549 0.2673 0.1327
0.9549 0.6327 0.7673
0.3408 0.3408 0.3408
0.8673 0.5451 0.7327
0.5000 0.5000 0.5000
0.1592 0.1592 0.1592
0.3673 0.2327 0.0451
0.0451 0.3673 0.2327
0.1327 0.4549 0.2673
0.7327 0.8673 0.5451
0.8408 0.8408 0.8408
0.0949 0.9662 0.7759
0.5451 0.7327 0.8673
0.7673 0.9549 0.6327
0.2327 0.0451 0.3673
0.9662 0.7759 0.0949
0.9051 0.0338 0.2241
0.6592 0.6592 0.6592
0.0000 0.0000 0.0000
0.6327 0.7673 0.9549
0.4051 0.7241 0.5338
0.4012 0.8369 0.6160
0.3369 0.9012 0.1160
0.1631 0.3840 0.5988
0.8840 0.6631 0.0988
0.9012 0.1160 0.3369
0.1160 0.3369 0.9012
0.6631 0.0988 0.8840
0.8369 0.6160 0.4012
0.6160 0.4012 0.8369
0.3840 0.5988 0.1631
0.0988 0.8840 0.6631
0.5988 0.1631 0.3840
0.8518 0.7116 0.5927
0.6471 0.5034 0.7523
0.6482 0.9073 0.7884
0.4770 0.6010 0.0371
0.0607 0.4393 0.2500
0.1832 0.0706 0.9267
0.4294 0.3168 0.5733
0.0836 0.9398 0.7030
0.3979 0.6467 0.5167
0.5706 0.6832 0.4267
0.2884 0.4073 0.1482
0.3518 0.0927 0.2116
0.7679 0.6597 0.2178
0.2679 0.7178 0.1597
0.4833 0.6021 0.3533
0.9164 0.0602 0.2970
0.8979 0.0167 0.1467
0.2971 0.1845 0.0534
0.5836 0.2030 0.4398
0.7030 0.0836 0.9398
0.5733 0.4294 0.3168
0.0371 0.4770 0.6010
0.8168 0.9294 0.0733
0.7970 0.5602 0.4164
0.2029 0.4466 0.3155
0.3533 0.4833 0.6021
0.0906 0.6237 0.1512
0.4267 0.5706 0.6832
0.5607 0.7500 0.9393
0.1010 0.9770 0.5371
0.1471 0.2523 0.0034
0.1467 0.8979 0.0167
0.9966 0.8529 0.7477
0.3763 0.8488 0.9094
0.2523 0.0034 0.1471
0.8763 0.4094 0.3488
0.2116 0.3518 0.0927
0.7477 0.9966 0.8529
0.4966 0.2477 0.3529
0.7884 0.6482 0.9073
0.8155 0.9466 0.7029
0.0927 0.2116 0.3518
0.9094 0.3763 0.8488
0.6021 0.3533 0.4833
0.2970 0.9164 0.0602
0.2321 0.3403 0.7822
0.3403 0.7822 0.2321
0.4466 0.3155 0.2029
0.8990 0.0230 0.4629
0.1482 0.2884 0.4073
0.6832 0.4267 0.5706
0.5534 0.6845 0.7971
0.7523 0.6471 0.5034
0.5602 0.4164 0.7970
0.0167 0.1467 0.8979
0.5167 0.3979 0.6467
0.9833 0.8533 0.1021
0.6010 0.0371 0.4770
0.4094 0.3488 0.8763
0.1021 0.9833 0.8533
0.9466 0.7029 0.8155
0.7029 0.8155 0.9466
0.6845 0.7971 0.5534
0.5230 0.3990 0.9629
0.7822 0.2321 0.3403
0.5906 0.6512 0.1237
0.1845 0.0534 0.2971
0.0733 0.8168 0.9294
0.7971 0.5534 0.6845
0.3168 0.5733 0.4294
0.3529 0.4966 0.2477
0.0706 0.9267 0.1832
0.5371 0.1010 0.9770
0.6467 0.5167 0.3979
0.4393 0.2500 0.0607
0.4398 0.5836 0.2030
0.9770 0.5371 0.1010
0.6512 0.1237 0.5906
0.2178 0.7679 0.6597
0.8488 0.9094 0.3763
0.2477 0.3529 0.4966
0.9629 0.5230 0.3990
0.7321 0.2822 0.8403
0.2500 0.0607 0.4393
0.1512 0.0906 0.6237
0.9294 0.0733 0.8168
0.3990 0.9629 0.5230
0.7178 0.1597 0.2679
0.1237 0.5906 0.6512
0.5034 0.7523 0.6471
0.0602 0.2970 0.9164
0.1597 0.2679 0.7178
0.0034 0.1471 0.2523
0.9393 0.5607 0.7500
0.5927 0.8518 0.7116
0.6237 0.1512 0.0906
0.2822 0.8403 0.7321
0.3155 0.2029 0.4466
0.9398 0.7030 0.0836
0.6597 0.2178 0.7679
0.8533 0.1021 0.9833
0.4629 0.8990 0.0230
0.2030 0.4398 0.5836
0.3488 0.8763 0.4094
0.4073 0.1482 0.2884
0.7116 0.5927 0.8518
0.0534 0.2971 0.1845
0.8529 0.7477 0.9966
0.0230 0.4629 0.8990
0.9267 0.1832 0.0706
0.4164 0.7970 0.5602
0.8403 0.7321 0.2822
0.9073 0.7884 0.6482
0.7500 0.9393 0.5607
```

Results
SG ... R-3c
E (MP2020) ... -1458.60 eV for the cell shown
DFT formation energy ... -84.81 eV/f.u.

=====

Entry 7:
A relaxed structure of MgTi2. Source: Materials Project, functional GGA-PBE.

The structure in POSCAR format:
```
MgTi2
1.0
1.4645 5.7847 0.0000
-1.4645 5.7847 0.0000
0.0000 1.5678 6.6175
Mg Ti
2 4
Direct
0.5283 0.5283 0.1959
0.4717 0.4717 0.8041
0.7924 0.7924 0.1468
0.1514 0.1514 0.4746
0.8486 0.8486 0.5254
0.2076 0.2076 0.8532
```

Results
SG ... C2/m
DFT formation energy ... 0.25 eV/f.u.

=====

Entry 8:
A relaxed structure of KMg6Zn. Source: Materials Project, functional GGA-PBE.

The structure in POSCAR format:
```
KMg6Zn
1.0
5.1940 0.0000 0.0000
0.0000 6.7744 0.0000
0.0000 0.0000 11.5713
K Mg Zn
2 12 2
Direct
0.5000 0.5000 0.1708
0.5000 0.0000 0.6708
0.0000 0.2289 0.0730
0.0000 0.7711 0.0730
0.0000 0.5000 0.8327
0.5000 0.2413 0.9173
0.5000 0.7587 0.9173
0.5000 0.5000 0.6633
0.0000 0.7289 0.5730
0.0000 0.2711 0.5730
0.0000 0.0000 0.3327
0.5000 0.7413 0.4173
0.5000 0.2587 0.4173
0.5000 0.0000 0.1633
0.0000 0.5000 0.3526
0.0000 0.0000 0.8526
```

Results
DFT formation energy ... 1.34 eV/f.u.